# 1
# Mg14NiW

An optimized crystal structure of Mg14NiW (PBE-GGA, Materials Project).

Summary:
The calculated density comes out at 3.00 g cm⁻³. For the energy above the most stable polymorph in this dataset, the calculation gives 0.000 kcal/mol of atoms. As for the formation energy from the elements: 0.16 eV per atom. The magnetization is 0.000 μB/f.u. For the final energy, the calculation gives -2.41 eV per atom.

```
16
Lattice="-1.3039 5.8705 -1.4351 0.1683 -4.3026 -4.4364 -9.4908 -1.7752 1.3617" Properties=species:S:1:pos:R:3 pbc="T T T"
Mg -3.8527 -1.5467 -2.8264
Mg -6.6579 -0.8011 -3.8085
Mg -8.7158 -0.4175 -0.0531
Mg -1.9164 0.1130 -4.4815
Mg -2.0002 2.2557 -2.2722
Mg -6.0136 -3.7022 -3.0993
Mg -9.2525 0.4753 -2.9658
Ni -1.3476 -0.6777 -1.5478
W -6.0930 -1.5653 -0.8669
Mg -6.7431 1.3753 -1.5645
Mg -8.6367 -2.4415 -2.1400
Mg -1.2618 -2.8339 -3.7611
Mg -4.6224 3.5863 -1.4996
Mg -3.9318 0.4773 -0.7395
Mg -4.5599 1.3530 -3.6391
Mg -9.4064 2.6915 -0.8132
```

***

# 2
# Ti3Sb2P6O24

An optimized crystal structure of Ti3Sb2P6O24 (PBE-GGA, Materials Project).

Summary:
The calculated density comes out at 3.34 g cm⁻³. As for the formation energy from the elements: -2.71 eV per atom. The magnetization is 0.001 μB/f.u. As for the MP2020-corrected energy: -277.949 eV per cell. For the final energy, the calculation gives -7.47 eV per atom.

```
35
Lattice="7.6536 -4.3584 0.0000 7.6536 4.3584 0.0000 5.1717 0.0000 7.1292" Properties=species:S:1:pos:R:3 pbc="T T T"
P 8.5790 -3.0463 3.3387
O 8.8906 0.7004 1.7026
O 9.1600 2.5013 5.5646
Sb 19.8313 0.0000 6.9038
O 13.8318 0.8423 6.2805
O 14.7541 0.7773 3.6313
Sb 10.1905 0.0000 3.5476
O 11.0591 -2.6981 6.7379
O 8.9169 -3.7150 1.9596
O 8.0426 0.7886 4.1384
P 9.6104 1.2351 0.3761
O 14.2744 -1.6195 5.0090
O 11.9974 1.4772 3.9220
O 9.4416 2.7936 0.4525
P 12.6858 -1.8683 1.8495
O 9.5334 -0.6984 7.0779
O 6.2233 1.6130 2.3085
Ti 7.1653 0.0000 2.4944
P 7.8757 1.8112 5.3591
O 6.7487 -0.6903 0.7993
O 11.6359 3.7110 5.0810
Ti 13.4310 0.0000 4.6757
O 10.9787 0.6925 0.3404
O 12.2994 -0.9469 3.0545
O 13.1723 -1.0129 0.6675
O 5.8302 -0.9227 3.4377
O 8.4415 -1.4891 2.9926
O 11.4830 -2.7253 1.4776
Ti 2.8114 0.0000 0.9787
P 10.9584 -1.1652 6.8115
O 11.0853 3.4237 2.6200
O 7.3260 0.9214 6.5294
O 11.4582 -0.5303 5.4708
P 12.0223 3.0335 3.7555
O 9.5543 -3.1938 4.4319
```

***

# 3
# Ce3PI3

An optimized crystal structure of Ce3PI3 (PBE-GGA, Materials Project).

Summary:
The calculated density comes out at 6.09 g cm⁻³. As for the formation energy from the elements: -1.43 eV per atom. As for the MP2020-corrected energy: -151.187 eV per cell. For the final energy, the calculation gives -5.24 eV per atom.

```
28
Lattice="-6.1006 -6.1006 6.1006 -6.1006 6.1006 -6.1006 6.1006 -6.1006 -6.1006" Properties=species:S:1:pos:R:3 pbc="T T T"
P 1.5251 -1.5251 -7.6257
Ce -1.7366 -7.6257 -1.3137
I -7.5000 -1.6509 1.5251
I -4.7012 -4.4497 1.5251
P -4.5754 -4.5754 -4.5754
I -1.5251 -1.3994 -4.4497
I 1.3994 -1.6509 -1.5251
P -7.6257 1.5251 -1.5251
Ce -4.5754 -7.4143 -4.3640
I -1.5251 1.3994 -1.6509
I -1.3994 -4.4497 -1.5251
I -4.4497 -1.5251 -1.3994
Ce -7.4143 -4.3640 -4.5754
Ce -4.3640 -4.5754 -7.4143
P -1.5251 -7.6257 1.5251
Ce -4.3640 -7.6257 1.3137
I -1.6509 1.5251 -7.5000
Ce -4.7869 -1.7366 -4.5754
I -4.4497 1.5251 -4.7012
Ce -7.6257 -1.3137 -1.7366
I -1.6509 -1.5251 1.3994
I 1.5251 -4.7012 -4.4497
I 1.5251 -7.5000 -1.6509
Ce -1.7366 -4.5754 -4.7869
Ce -4.5754 -4.7869 -1.7366
Ce -1.3137 -1.7366 -7.6257
Ce 1.3137 -4.3640 -7.6257
Ce -7.6257 1.3137 -4.3640
```

***

# 4
# PrAl3Cu

An optimized crystal structure of PrAl3Cu (PBE-GGA, Materials Project).

Summary:
The calculated density comes out at 4.88 g cm⁻³. As for the formation energy from the elements: -0.47 eV per atom. For the final energy, the calculation gives -4.49 eV per atom.

```
5
Lattice="-1.1932 -4.0640 0.4723 3.2091 -1.2348 -2.5178 2.1782 2.2109 5.2989" Properties=species:S:1:pos:R:3 pbc="T T T"
Al 2.5911 -0.3566 3.4775
Pr 4.1895 -3.0872 3.2471
Al 0.9891 -2.2502 2.3642
Al 3.1902 -0.8356 0.8692
Cu 1.8520 -2.7655 0.1100
```

***

# 5
# CsSb

An optimized crystal structure of CsSb (PBE-GGA, Materials Project).

Summary:
The calculated density comes out at 4.26 g cm⁻³. For the energy above the most stable polymorph in this dataset, the calculation gives 0.000 kcal/mol of atoms. Its piezoelectric modulus e_max is 0.09 C/m2. As for the formation energy from the elements: -0.53 eV per atom. As for the MP2020-corrected energy: -48.750 eV per cell. For the final energy, the calculation gives -2.95 eV per atom.

```
16
Lattice="-1.2760 -6.6387 3.3823 -2.3276 -3.0131 -6.7922 12.6752 -3.7922 -2.6614" Properties=species:S:1:pos:R:3 pbc="T T T"
Cs 10.1799 -7.3678 -3.7422
Sb 8.4625 -10.3343 -5.6713
Cs 7.7579 -6.6459 -7.1771
Cs 7.2488 -9.2153 -1.3995
Sb -0.3658 -3.6336 -4.2967
Cs 0.3437 -7.2964 -2.8040
Cs 4.5563 -8.8435 -5.6236
Sb 6.4568 -2.8031 -1.5581
Sb 6.6021 -5.4520 -2.7364
Sb 9.8091 -11.4281 -3.3440
Sb 3.4444 -7.4682 0.5619
Cs 2.7928 -3.7305 -0.7620
Sb -2.3115 -5.6568 -5.0360
Cs 3.7526 -4.0203 -4.9069
Cs -0.3456 -6.6564 2.1302
Sb 4.1889 -7.0000 -2.2044
```

***

# 6
# Os3O

An optimized crystal structure of Os3O (PBE-GGA, Materials Project).

Summary:
The calculated density comes out at 17.89 g cm⁻³. For the energy above the most stable polymorph in this dataset, the calculation gives 0.150 kcal/mol of atoms. As for the formation energy from the elements: 0.66 eV per atom. The magnetization is 0.003 μB/f.u. As for the MP2020-corrected energy: -71.954 eV per cell. For the final energy, the calculation gives -8.82 eV per atom.

```
8
Lattice="3.0549 -5.2912 0.0000 3.0549 5.2912 0.0000 0.0000 0.0000 3.3681" Properties=species:S:1:pos:R:3 pbc="T T T"
Os 4.4220 -0.9744 2.5261
Os 1.6877 0.9744 0.8420
Os 3.0549 -3.3424 2.5261
Os 3.0549 3.3424 0.8420
Os 4.4220 0.9744 0.8420
O 3.0549 1.7637 2.5261
O 3.0549 -1.7637 0.8420
Os 1.6877 -0.9744 2.5261
```

***

no.,calculated volume (Å³/f.u.)
1,322.77
2,475.62
3,227.05
4,97.18
5,99.29
6,54.44